Entry 1:
Computed, not measured: an optimized crystal structure of MgMn2Br6O12 at the PBE+U level of DFT.

Cell lengths 9.044, 9.044, 7.378 Å; angles 83.53, 83.53, 72.98 degrees
Positions (direct):
Mg 0.000 0.000 0.500
Mn 0.359 0.359 0.797
Mn 0.641 0.641 0.203
Br 0.916 0.258 0.731
Br 0.258 0.916 0.731
Br 0.084 0.742 0.269
Br 0.742 0.084 0.269
Br 0.327 0.327 0.506
Br 0.673 0.673 0.494
O 0.295 0.539 0.825
O 0.539 0.295 0.825
O 0.705 0.461 0.175
O 0.461 0.705 0.175
O 0.262 0.262 0.929
O 0.738 0.738 0.071
O 0.956 0.246 0.497
O 0.246 0.956 0.497
O 0.044 0.754 0.503
O 0.754 0.044 0.503
O 0.969 0.969 0.212
O 0.031 0.031 0.788

calculated total energy	-0.155	hartree per atom
calculated density	2.34	Mg/m³
total magnetization	2.00	μB/cell


Entry 2:
Computed, not measured: an optimized crystal structure of MgTa4Mn4Nb4O24 at the PBE+U level of DFT.

Cell lengths 5.181, 5.960, 14.753 Å; angles 90.00, 90.20, 90.00 degrees
Positions (direct):
Mg 0.250 0.581 0.000
Ta 0.261 0.668 0.184
Ta 0.761 0.848 0.344
Ta 0.739 0.848 0.656
Ta 0.239 0.668 0.816
Mn 0.250 0.113 0.000
Mn 0.750 0.342 0.500
Mn 0.750 0.825 0.000
Mn 0.250 0.677 0.500
Nb 0.733 0.318 0.841
Nb 0.224 0.185 0.660
Nb 0.276 0.185 0.340
Nb 0.767 0.318 0.159
O 0.912 0.138 0.749
O 0.402 0.389 0.760
O 0.098 0.389 0.240
O 0.588 0.138 0.251
O 0.084 0.882 0.256
O 0.591 0.640 0.246
O 0.909 0.640 0.754
O 0.416 0.882 0.744
O 0.594 0.111 0.920
O 0.097 0.389 0.579
O 0.403 0.389 0.421
O 0.906 0.111 0.080
O 0.394 0.836 0.081
O 0.901 0.631 0.418
O 0.599 0.631 0.582
O 0.106 0.836 0.919
O 0.058 0.390 0.906
O 0.575 0.109 0.600
O 0.925 0.109 0.400
O 0.442 0.390 0.094
O 0.958 0.595 0.096
O 0.434 0.898 0.402
O 0.066 0.898 0.598
O 0.542 0.595 0.904

calculated total energy	-0.326	hartree per atom
calculated density	6.28	Mg/m³
total magnetization	22.00	μB/cell
offset from the most stable computed form	13.5	meV/atom


Entry 3:
Computed, not measured: an optimized crystal structure of Li5Fe3Sb2O10 at the PBE+U level of DFT.

Cell lengths 5.385, 10.634, 8.251 Å; angles 108.69, 102.49, 99.82 degrees
Positions (direct):
Li 0.499 0.246 0.498
Li 0.502 0.749 0.502
Li 0.224 0.442 0.406
Li 0.245 0.947 0.407
Li 0.774 0.058 0.592
Li 0.767 0.543 0.587
Li 0.398 0.152 0.798
Li 0.401 0.649 0.799
Li 0.584 0.346 0.199
Li 0.596 0.852 0.196
Fe 0.996 0.748 0.996
Fe 0.695 0.448 0.896
Fe 0.303 0.053 0.109
Fe 0.001 0.251 0.004
Fe 0.696 0.947 0.888
Fe 0.302 0.552 0.112
Sb 0.105 0.355 0.705
Sb 0.103 0.852 0.698
Sb 0.899 0.142 0.293
Sb 0.896 0.648 0.301
O 0.058 0.034 0.842
O 0.062 0.542 0.860
O 0.938 0.464 0.159
O 0.924 0.935 0.118
O 0.329 0.353 0.939
O 0.325 0.837 0.918
O 0.662 0.156 0.049
O 0.668 0.656 0.077
O 0.170 0.174 0.582
O 0.135 0.662 0.539
O 0.875 0.361 0.483
O 0.871 0.841 0.457
O 0.255 0.256 0.240
O 0.213 0.740 0.250
O 0.785 0.260 0.755
O 0.782 0.752 0.738
O 0.435 0.457 0.673
O 0.430 0.942 0.657
O 0.529 0.040 0.334
O 0.572 0.559 0.343

calculated total energy	-0.216	hartree per atom
calculated density	4.77	Mg/m³
total magnetization	0.00	μB/cell
offset from the most stable computed form	0.8	meV/atom


Entry 4:
Computed, not measured: an optimized crystal structure of MnCr3P6O24 at the PBE+U level of DFT.

Cell lengths 8.745, 8.745, 8.745 Å; angles 58.30, 58.30, 58.30 degrees
Positions (direct):
Mn 0.856 0.856 0.856
Cr 0.143 0.143 0.143
Cr 0.357 0.357 0.357
Cr 0.642 0.642 0.642
P 0.033 0.468 0.750
P 0.468 0.750 0.033
P 0.750 0.033 0.468
P 0.247 0.966 0.536
P 0.536 0.247 0.966
P 0.966 0.536 0.247
O 0.136 0.509 0.279
O 0.279 0.136 0.509
O 0.062 0.282 0.923
O 0.509 0.279 0.136
O 0.218 0.438 0.577
O 0.011 0.641 0.775
O 0.282 0.923 0.062
O 0.438 0.577 0.218
O 0.577 0.218 0.438
O 0.220 0.991 0.364
O 0.073 0.941 0.721
O 0.364 0.220 0.991
O 0.641 0.775 0.011
O 0.923 0.062 0.282
O 0.775 0.011 0.641
O 0.422 0.782 0.563
O 0.563 0.422 0.782
O 0.721 0.073 0.941
O 0.991 0.364 0.220
O 0.782 0.563 0.422
O 0.492 0.722 0.862
O 0.941 0.721 0.073
O 0.722 0.862 0.492
O 0.862 0.492 0.722

calculated total energy	-0.263	hartree per atom
calculated density	2.85	Mg/m³
total magnetization	7.00	μB/cell


Entry 5:
Computed, not measured: an optimized crystal structure of TiVO3 at the PBE+U level of DFT.

Cell lengths 5.151, 5.552, 7.622 Å; angles 83.97, 89.78, 89.89 degrees
Positions (direct):
Ti 0.501 0.797 0.145
Ti 0.496 0.189 0.349
Ti 0.999 0.304 0.647
Ti 0.503 0.205 0.857
V 0.001 0.303 0.155
V 0.000 0.695 0.350
V 0.499 0.808 0.648
V 0.000 0.698 0.848
O 0.322 0.499 0.249
O 0.833 0.661 0.104
O 0.656 0.853 0.394
O 0.202 0.993 0.256
O 0.637 0.158 0.093
O 0.147 0.642 0.592
O 0.837 0.339 0.413
O 0.363 0.849 0.912
O 0.335 0.160 0.592
O 0.170 0.340 0.897
O 0.692 0.484 0.753
O 0.807 0.023 0.747

calculated total energy	-0.314	hartree per atom
calculated density	4.50	Mg/m³
total magnetization	10.00	μB/cell


Entry 6:
Computed, not measured: an optimized crystal structure of Li3V3P8O29 at the PBE+U level of DFT.

Cell lengths 9.718, 9.743, 14.326 Å; angles 90.64, 90.11, 119.88 degrees
Positions (direct):
Li 0.678 0.771 0.048
Li 0.092 0.323 0.058
Li 0.770 0.676 0.448
Li 0.233 0.331 0.563
Li 0.031 0.978 0.993
Li 0.996 0.000 0.515
V 0.563 0.565 0.249
V 0.436 0.432 0.753
V 0.003 0.567 0.750
V 0.995 0.438 0.250
V 0.436 0.997 0.252
V 0.561 0.000 0.745
P 0.222 0.919 0.839
P 0.084 0.782 0.338
P 0.699 0.919 0.345
P 0.333 0.665 0.133
P 0.331 0.661 0.632
P 0.688 0.782 0.838
P 0.777 0.686 0.660
P 0.086 0.311 0.845
P 0.915 0.695 0.154
P 0.225 0.317 0.343
P 0.306 0.216 0.165
P 0.665 0.337 0.366
P 0.671 0.334 0.866
P 0.297 0.082 0.656
P 0.914 0.217 0.664
P 0.777 0.081 0.161
O 0.195 0.009 0.572
O 0.259 0.915 0.334
O 0.987 0.787 0.069
O 0.088 0.742 0.830
O 0.383 0.926 0.826
O 0.333 0.810 0.181
O 0.542 0.923 0.331
O 0.783 0.991 0.079
O 0.652 0.919 0.829
O 0.185 0.661 0.679
O 0.081 0.620 0.324
O 0.477 0.810 0.677
O 0.349 0.667 0.030
O 0.327 0.654 0.529
O 0.486 0.670 0.177
O 0.086 0.468 0.830
O 0.184 0.513 0.170
O 0.659 0.741 0.334
O 0.798 0.799 0.749
O 0.790 0.769 0.571
O 0.771 0.791 0.927
O 0.531 0.621 0.824
O 0.331 0.511 0.673
O 0.738 0.655 0.163
O 0.382 0.474 0.325
O 0.085 0.349 0.326
O 0.002 0.802 0.246
O 0.995 0.788 0.420
O 0.005 0.198 0.586
O 0.915 0.651 0.669
O 0.618 0.532 0.674
O 0.259 0.344 0.829
O 0.670 0.488 0.323
O 0.464 0.378 0.176
O 0.204 0.207 0.085
O 0.217 0.248 0.436
O 0.210 0.197 0.262
O 0.345 0.261 0.663
O 0.817 0.478 0.820
O 0.920 0.539 0.169
O 0.522 0.338 0.822
O 0.669 0.336 0.969
O 0.675 0.350 0.469
O 0.519 0.189 0.322
O 0.924 0.380 0.671
O 0.813 0.336 0.317
O 0.345 0.081 0.168
O 0.197 0.003 0.749
O 0.203 0.996 0.924
O 0.452 0.073 0.666
O 0.663 0.186 0.817
O 0.617 0.079 0.175
O 0.914 0.257 0.161
O 0.025 0.233 0.936
O 0.985 0.193 0.761
O 0.737 0.084 0.664
O 0.795 0.990 0.431
O 0.804 0.006 0.255

calculated total energy	-0.259	hartree per atom
calculated density	2.50	Mg/m³
total magnetization	0.00	μB/cell
offset from the most stable computed form	6.0	meV/atom


Entry 7:
Computed, not measured: an optimized crystal structure of Na3Ge3Mo2O12 at the PBE+U level of DFT.

Cell lengths 10.912, 10.912, 10.912 Å; angles 109.47, 109.47, 109.47 degrees
Positions (direct):
Na 0.250 0.875 0.625
Na 0.750 0.625 0.875
Na 0.875 0.750 0.625
Na 0.625 0.250 0.875
Na 0.875 0.625 0.250
Na 0.625 0.875 0.750
Na 0.750 0.125 0.375
Na 0.250 0.375 0.125
Na 0.125 0.250 0.375
Na 0.375 0.750 0.125
Na 0.125 0.375 0.750
Na 0.375 0.125 0.250
Ge 0.375 0.625 0.750
Ge 0.625 0.375 0.250
Ge 0.875 0.250 0.125
Ge 0.750 0.375 0.625
Ge 0.625 0.750 0.375
Ge 0.250 0.125 0.875
Ge 0.750 0.875 0.125
Ge 0.250 0.625 0.375
Ge 0.375 0.250 0.625
Ge 0.125 0.750 0.875
Ge 0.875 0.125 0.750
Ge 0.125 0.875 0.250
Mo 0.000 0.000 0.000
Mo 0.000 0.000 0.500
Mo 0.500 0.000 0.000
Mo 0.000 0.500 0.000
Mo 0.500 0.000 0.500
Mo 0.500 0.500 0.000
Mo 0.000 0.500 0.500
Mo 0.500 0.500 0.500
O 0.080 0.695 0.686
O 0.615 0.420 0.105
O 0.395 0.814 0.510
O 0.990 0.805 0.885
O 0.814 0.805 0.420
O 0.885 0.990 0.805
O 0.885 0.395 0.080
O 0.805 0.885 0.990
O 0.686 0.105 0.990
O 0.510 0.615 0.695
O 0.695 0.510 0.615
O 0.805 0.420 0.814
O 0.080 0.885 0.395
O 0.105 0.990 0.686
O 0.420 0.814 0.805
O 0.395 0.080 0.885
O 0.990 0.686 0.105
O 0.420 0.105 0.615
O 0.510 0.395 0.814
O 0.314 0.895 0.010
O 0.814 0.510 0.395
O 0.695 0.686 0.080
O 0.105 0.615 0.420
O 0.615 0.695 0.510
O 0.920 0.305 0.314
O 0.385 0.580 0.895
O 0.605 0.186 0.490
O 0.010 0.195 0.115
O 0.186 0.195 0.580
O 0.115 0.010 0.195
O 0.115 0.605 0.920
O 0.195 0.115 0.010
O 0.385 0.305 0.490
O 0.895 0.385 0.580
O 0.305 0.314 0.920
O 0.314 0.920 0.305
O 0.186 0.490 0.605
O 0.490 0.605 0.186
O 0.580 0.895 0.385
O 0.010 0.314 0.895
O 0.605 0.920 0.115
O 0.580 0.186 0.195
O 0.895 0.010 0.314
O 0.920 0.115 0.605
O 0.195 0.580 0.186
O 0.305 0.490 0.385
O 0.490 0.385 0.305
O 0.686 0.080 0.695

calculated total energy	-0.231	hartree per atom
calculated density	4.45	Mg/m³
total magnetization	12.01	μB/cell


Entry 8:
Computed, not measured: an optimized crystal structure of Ba3MgNb2CoO9 at the PBE+U level of DFT.

Cell lengths 5.937, 5.944, 7.839 Å; angles 90.48, 89.81, 119.92 degrees
Positions (direct):
Ba 0.667 0.334 0.368
Ba 0.000 0.999 0.988
Ba 0.333 0.663 0.666
Mg 0.999 0.994 0.613
Nb 0.334 0.668 0.175
Nb 0.667 0.331 0.868
Co 0.000 0.003 0.325
O 0.501 0.501 0.022
O 0.182 0.365 0.339
O 0.825 0.647 0.713
O 0.000 0.501 0.023
O 0.180 0.821 0.342
O 0.347 0.170 0.715
O 0.826 0.169 0.716
O 0.638 0.820 0.342
O 0.501 0.003 0.025

calculated total energy	-0.265	hartree per atom
calculated density	5.71	Mg/m³
total magnetization	1.00	μB/cell
offset from the most stable computed form	47.0	meV/atom